No. 1
## MgCo6Ag2P6H4O24 (PBE+U)

Data for a relaxed structure of MgCo6Ag2P6H4O24.

a b c (Å): 6.706 8.714 8.771
angles (deg): 91.05 107.61 106.40
Positions (direct):
O  0.883  0.482  0.818
O  0.917  0.365  0.341
O  0.652  0.955  0.771
O  0.765  0.995  0.219
O  0.850  0.234  0.051
O  0.412  0.343  0.332
O  0.372  0.827  0.493
O  0.462  0.288  0.787
O  0.356  0.058  0.229
O  0.537  0.707  0.212
O  0.088  0.636  0.638
O  0.115  0.522  0.174
O  0.204  0.118  0.451
O  0.138  0.762  0.919
O  0.952  0.781  0.301
O  0.042  0.217  0.722
O  0.617  0.173  0.516
O  0.239  0.004  0.792
O  0.780  0.889  0.540
O  0.740  0.788  0.005
O  0.300  0.536  0.891
O  0.702  0.466  0.097
O  0.281  0.221  0.007
O  0.583  0.663  0.672
P  0.597  0.832  0.614
P  0.104  0.600  0.816
P  0.401  0.172  0.387
P  0.747  0.810  0.181
P  0.255  0.182  0.828
P  0.891  0.389  0.158
Mg  0.112  0.628  0.399
H  0.800  0.076  0.141
H  0.183  0.874  0.866
H  0.688  0.897  0.875
H  0.322  0.123  0.123
Co  0.101  0.911  0.549
Co  0.629  0.552  0.879
Co  0.887  0.121  0.464
Co  0.382  0.457  0.122
Co  0.757  0.224  0.787
Co  0.274  0.802  0.182
Ag  0.274  0.409  0.566
Ag  0.711  0.535  0.486

E above lowest polymorph (meV per atom): 33
MP2020-corrected energy (Ry/atom): -0.5073
Space-group type: No. 1
Energy of formation from the pure elements (eV per atom): -1.91
ρ (g/cm³): 4.16

---

No. 2
## MgTi3V5O16 (PBE+U)

Data for a relaxed structure of MgTi3V5O16.

a b c (Å): 5.908 6.007 9.872
angles (deg): 89.30 99.62 120.48
Positions (direct):
V  0.712  0.115  0.704
V  0.155  0.578  0.516
V  0.737  0.854  0.167
V  0.675  0.330  0.987
V  0.746  0.607  0.723
O  0.370  0.183  0.102
O  0.145  0.573  0.336
O  0.005  0.249  0.582
O  0.346  0.677  0.097
O  0.613  0.014  0.306
O  0.096  0.043  0.301
O  0.908  0.469  0.826
O  0.921  0.964  0.799
O  0.014  0.761  0.589
O  0.862  0.683  0.088
O  0.464  0.460  0.839
O  0.601  0.580  0.307
O  0.456  0.022  0.836
O  0.524  0.756  0.587
O  0.507  0.270  0.610
O  0.872  0.185  0.089
Mg  0.811  0.897  0.451
Ti  0.282  0.891  0.209
Ti  0.255  0.146  0.737
Ti  0.266  0.370  0.206

E above lowest polymorph (meV per atom): 56
MP2020-corrected energy (Ry/atom): -0.6463
Space-group type: No. 1
Energy of formation from the pure elements (eV per atom): -2.80
ρ (g/cm³): 3.80

---

No. 3
## CrHg3F6 (PBE+U)

Data for a relaxed structure of CrHg3F6.

a b c (Å): 5.510 8.004 12.201
angles (deg): 77.86 110.86 111.33
Positions (direct):
Hg  0.000  0.500  0.000
Hg  0.500  0.500  0.000
Hg  0.000  0.000  0.500
F  0.695  0.845  0.905
F  0.056  0.804  0.104
F  0.944  0.196  0.896
F  0.305  0.155  0.095
F  0.924  0.968  0.651
F  0.076  0.032  0.349
Cr  0.000  0.000  0.000

E above lowest polymorph (meV per atom): 34
MP2020-corrected energy (Ry/atom): -0.2870
Space-group type: No. 2
Energy of formation from the pure elements (eV per atom): -1.70
ρ (g/cm³): 2.73

---

No. 4
## Y4Si2Ni13Sb2O28 (PBE+U)

Data for a relaxed structure of Y4Si2Ni13Sb2O28.

a b c (Å): 5.581 9.264 12.179
angles (deg): 87.71 76.69 79.89
Positions (direct):
O  0.869  0.878  0.717
O  0.946  0.344  0.000
O  0.691  0.645  0.890
O  0.876  0.610  0.583
O  0.308  0.357  0.110
O  0.594  0.104  0.414
O  0.699  0.890  0.001
O  0.130  0.122  0.282
O  0.588  0.878  0.282
O  0.275  0.597  0.746
O  0.007  0.104  0.585
O  0.024  0.596  0.254
O  0.583  0.643  0.111
O  0.123  0.390  0.417
O  0.418  0.356  0.889
O  0.726  0.109  0.150
O  0.460  0.610  0.417
O  0.875  0.108  0.849
O  0.302  0.110  0.000
O  0.975  0.405  0.747
O  0.993  0.896  0.413
O  0.055  0.655  0.000
O  0.274  0.893  0.849
O  0.125  0.891  0.149
O  0.540  0.390  0.583
O  0.411  0.122  0.715
O  0.404  0.896  0.585
O  0.725  0.404  0.254
Si  0.760  0.709  0.000
Si  0.240  0.291  0.000
Ni  0.783  0.322  0.877
Ni  0.430  0.999  0.142
Ni  0.335  0.361  0.740
Ni  0.079  0.359  0.260
Ni  0.338  0.678  0.876
Ni  0.664  0.640  0.260
Ni  0.706  0.002  0.581
Ni  0.921  0.640  0.740
Ni  0.290  0.001  0.418
Ni  0.660  0.325  0.124
Ni  0.572  0.000  0.856
Ni  0.217  0.676  0.123
Ni  0.000  0.000  0.000
Sb  0.861  0.000  0.278
Sb  0.138  0.000  0.720
Y  0.928  0.344  0.589
Y  0.517  0.344  0.411
Y  0.072  0.656  0.412
Y  0.483  0.656  0.588

MP2020-corrected energy (Ry/atom): -0.5361
Space-group type: No. 1
Energy of formation from the pure elements (eV per atom): -2.01
ρ (g/cm³): 5.14